Record 1
VASP calculation (GGA-PBE) on an optimized crystal structure of PrAl10Ru2.

Cell: 6.883 6.883 9.210 Å, 90.00 90.00 96.69°
Sites, in units of the cell vectors:
Pr (0.124, 0.876, 0.750)
Pr (0.876, 0.124, 0.250)
Al (0.139, 0.411, 0.750)
Al (0.161, 0.839, 0.101)
Al (0.161, 0.839, 0.399)
Al (0.221, 0.483, 0.250)
Al (0.228, 0.228, 0.000)
Al (0.228, 0.228, 0.500)
Al (0.378, 0.622, 0.550)
Al (0.378, 0.622, 0.950)
Al (0.411, 0.139, 0.250)
Al (0.483, 0.221, 0.750)
Al (0.517, 0.779, 0.250)
Al (0.589, 0.861, 0.750)
Al (0.622, 0.378, 0.050)
Al (0.622, 0.378, 0.450)
Al (0.772, 0.772, 0.000)
Al (0.772, 0.772, 0.500)
Al (0.779, 0.517, 0.750)
Al (0.839, 0.161, 0.601)
Al (0.839, 0.161, 0.899)
Al (0.861, 0.589, 0.250)
Ru (0.000, 0.500, 0.000)
Ru (0.000, 0.500, 0.500)
Ru (0.500, 0.000, 0.000)
Ru (0.500, 0.000, 0.500)

## Properties
ΔE_f = -0.516 eV per atom
electronic total energy = -135.0 eV for the cell shown

Record 2
VASP calculation (GGA-PBE) on an optimized crystal structure of Nd6Nb5S16.

Cell: 22.948 8.902 8.902 Å, 142.17 90.00 90.00°
Sites, in units of the cell vectors:
Nd (0.171, 0.000, 0.000)
Nd (0.174, 0.308, 0.641)
Nd (0.174, 0.641, 0.308)
Nd (0.326, 0.492, 0.492)
Nd (0.327, 0.134, 0.799)
Nd (0.327, 0.799, 0.134)
Nd (0.673, 0.134, 0.799)
Nd (0.673, 0.799, 0.134)
Nd (0.674, 0.492, 0.492)
Nd (0.826, 0.308, 0.641)
Nd (0.826, 0.641, 0.308)
Nd (0.829, 0.000, 0.000)
Nb (0.000, 0.063, 0.063)
Nb (0.000, 0.254, 0.856)
Nb (0.000, 0.457, 0.658)
Nb (0.000, 0.658, 0.457)
Nb (0.000, 0.856, 0.254)
Nb (0.500, 0.096, 0.699)
Nb (0.500, 0.303, 0.504)
Nb (0.500, 0.504, 0.303)
Nb (0.500, 0.699, 0.096)
Nb (0.500, 0.904, 0.904)
S (0.067, 0.727, 0.727)
S (0.069, 0.521, 0.926)
S (0.069, 0.926, 0.521)
S (0.070, 0.123, 0.323)
S (0.070, 0.323, 0.123)
S (0.200, 0.488, 0.488)
S (0.201, 0.144, 0.811)
S (0.201, 0.811, 0.144)
S (0.298, 0.983, 0.983)
S (0.299, 0.307, 0.639)
S (0.299, 0.639, 0.307)
S (0.430, 0.638, 0.833)
S (0.430, 0.833, 0.638)
S (0.431, 0.032, 0.433)
S (0.431, 0.433, 0.032)
S (0.432, 0.236, 0.236)
S (0.568, 0.236, 0.236)
S (0.569, 0.032, 0.433)
S (0.569, 0.433, 0.032)
S (0.570, 0.638, 0.833)
S (0.570, 0.833, 0.638)
S (0.701, 0.307, 0.639)
S (0.701, 0.639, 0.307)
S (0.702, 0.983, 0.983)
S (0.799, 0.144, 0.811)
S (0.799, 0.811, 0.144)
S (0.800, 0.488, 0.488)
S (0.930, 0.123, 0.323)
S (0.930, 0.323, 0.123)
S (0.931, 0.521, 0.926)
S (0.931, 0.926, 0.521)
S (0.933, 0.727, 0.727)

## Properties
ΔE_f = -1.985 eV per atom
MP2020-corrected energy = -7.3668 eV per atom
electronic total energy = -381.7 eV for the cell shown
total moment = 0.00 Bohr magnetons per cell

Record 3
VASP calculation (GGA-PBE) on an optimized crystal structure of Ba2SmMgSbO6.

Cell: 7.155 7.155 7.901 Å, 121.70 121.70 51.85°
Sites, in units of the cell vectors:
Ba (0.000, 0.000, 0.000)
Ba (0.641, 0.641, 0.472)
Sm (0.474, 0.474, 0.780)
Mg (0.204, 0.204, 0.687)
Sb (0.935, 0.935, 0.459)
O (0.049, 0.049, 0.365)
O (0.087, 0.557, 0.732)
O (0.270, 0.831, 0.669)
O (0.557, 0.087, 0.732)
O (0.592, 0.592, 0.109)
O (0.831, 0.270, 0.669)

## Properties
energy relative to the lowest polymorph listed for this composition = 0.17 kcal/mol of atoms
ΔE_f = -2.760 eV per atom
MP2020-corrected energy = -6.7574 eV per atom
electronic total energy = -70.2 eV for the cell shown
total moment = 0.00 Bohr magnetons per cell

Record 4
VASP calculation (GGA-PBE) on an optimized crystal structure of NbP4Se3Cl5.

Cell: 12.755 19.426 13.690 Å, 90.00 90.00 90.00°
Sites, in units of the cell vectors:
Nb (0.164, 0.239, 0.073)
Nb (0.164, 0.261, 0.573)
Nb (0.336, 0.739, 0.073)
Nb (0.336, 0.761, 0.573)
Nb (0.664, 0.239, 0.427)
Nb (0.664, 0.261, 0.927)
Nb (0.836, 0.739, 0.427)
Nb (0.836, 0.761, 0.927)
P (0.019, 0.098, 0.305)
P (0.019, 0.402, 0.805)
P (0.073, 0.570, 0.330)
P (0.073, 0.930, 0.830)
P (0.091, 0.109, 0.157)
P (0.091, 0.391, 0.657)
P (0.105, 0.561, 0.720)
P (0.105, 0.939, 0.220)
P (0.395, 0.061, 0.720)
P (0.395, 0.439, 0.220)
P (0.409, 0.609, 0.157)
P (0.409, 0.891, 0.657)
P (0.427, 0.070, 0.330)
P (0.427, 0.430, 0.830)
P (0.481, 0.598, 0.305)
P (0.481, 0.902, 0.805)
P (0.519, 0.098, 0.195)
P (0.519, 0.402, 0.695)
P (0.573, 0.570, 0.170)
P (0.573, 0.930, 0.670)
P (0.591, 0.109, 0.343)
P (0.591, 0.391, 0.843)
P (0.605, 0.561, 0.780)
P (0.605, 0.939, 0.280)
P (0.895, 0.061, 0.780)
P (0.895, 0.439, 0.280)
P (0.909, 0.609, 0.343)
P (0.909, 0.891, 0.843)
P (0.927, 0.070, 0.170)
P (0.927, 0.430, 0.670)
P (0.981, 0.598, 0.195)
P (0.981, 0.902, 0.695)
Se (0.056, 0.045, 0.848)
Se (0.056, 0.455, 0.348)
Se (0.084, 0.502, 0.862)
Se (0.084, 0.998, 0.362)
Se (0.199, 0.018, 0.134)
Se (0.199, 0.482, 0.634)
Se (0.301, 0.518, 0.134)
Se (0.301, 0.982, 0.634)
Se (0.416, 0.002, 0.862)
Se (0.416, 0.498, 0.362)
Se (0.444, 0.545, 0.848)
Se (0.444, 0.955, 0.348)
Se (0.556, 0.045, 0.652)
Se (0.556, 0.455, 0.152)
Se (0.584, 0.502, 0.638)
Se (0.584, 0.998, 0.138)
Se (0.699, 0.018, 0.366)
Se (0.699, 0.482, 0.866)
Se (0.801, 0.518, 0.366)
Se (0.801, 0.982, 0.866)
Se (0.916, 0.002, 0.638)
Se (0.916, 0.498, 0.138)
Se (0.944, 0.545, 0.652)
Se (0.944, 0.955, 0.152)
Cl (0.027, 0.220, 0.672)
Cl (0.027, 0.280, 0.172)
Cl (0.039, 0.214, 0.952)
Cl (0.039, 0.286, 0.452)
Cl (0.218, 0.666, 0.992)
Cl (0.218, 0.834, 0.492)
Cl (0.224, 0.158, 0.512)
Cl (0.224, 0.342, 0.012)
Cl (0.230, 0.733, 0.212)
Cl (0.230, 0.767, 0.712)
Cl (0.270, 0.233, 0.212)
Cl (0.270, 0.267, 0.712)
Cl (0.276, 0.658, 0.512)
Cl (0.276, 0.842, 0.012)
Cl (0.282, 0.166, 0.992)
Cl (0.282, 0.334, 0.492)
Cl (0.461, 0.714, 0.952)
Cl (0.461, 0.786, 0.452)
Cl (0.473, 0.720, 0.672)
Cl (0.473, 0.780, 0.172)
Cl (0.527, 0.220, 0.828)
Cl (0.527, 0.280, 0.328)
Cl (0.539, 0.214, 0.548)
Cl (0.539, 0.286, 0.048)
Cl (0.718, 0.666, 0.508)
Cl (0.718, 0.834, 0.008)
Cl (0.724, 0.158, 0.988)
Cl (0.724, 0.342, 0.488)
Cl (0.730, 0.733, 0.288)
Cl (0.730, 0.767, 0.788)
Cl (0.770, 0.233, 0.288)
Cl (0.770, 0.267, 0.788)
Cl (0.776, 0.658, 0.988)
Cl (0.776, 0.842, 0.488)
Cl (0.782, 0.166, 0.508)
Cl (0.782, 0.334, 0.008)
Cl (0.961, 0.714, 0.548)
Cl (0.961, 0.786, 0.048)
Cl (0.973, 0.720, 0.828)
Cl (0.973, 0.780, 0.328)

## Properties
ΔE_f = -0.841 eV per atom
MP2020-corrected energy = -4.8012 eV per atom
electronic total energy = -474.8 eV for the cell shown

Record 5
VASP calculation (GGA-PBE) on an optimized crystal structure of Sr2PbN2.

Cell: 6.590 6.590 12.986 Å, 90.00 90.00 130.29°
Sites, in units of the cell vectors:
Sr (0.040, 0.960, 0.860)
Sr (0.142, 0.858, 0.457)
Sr (0.358, 0.642, 0.957)
Sr (0.460, 0.540, 0.360)
Sr (0.540, 0.460, 0.640)
Sr (0.642, 0.358, 0.043)
Sr (0.858, 0.142, 0.543)
Sr (0.960, 0.040, 0.140)
Pb (0.247, 0.753, 0.687)
Pb (0.253, 0.747, 0.187)
Pb (0.747, 0.253, 0.813)
Pb (0.753, 0.247, 0.313)
N (0.065, 0.935, 0.640)
N (0.153, 0.847, 0.044)
N (0.347, 0.653, 0.544)
N (0.435, 0.565, 0.140)
N (0.565, 0.435, 0.860)
N (0.653, 0.347, 0.456)
N (0.847, 0.153, 0.956)
N (0.935, 0.065, 0.360)

## Properties
ΔE_f = -0.526 eV per atom
MP2020-corrected energy = -5.2792 eV per atom
electronic total energy = -102.7 eV for the cell shown
total moment = 0.01 Bohr magnetons per cell

Record 6
VASP calculation (GGA-PBE) on an optimized crystal structure of LaB2Os2.

Cell: 6.884 6.089 5.662 Å, 71.62 57.08 51.30°
Sites, in units of the cell vectors:
La (0.125, 0.125, 0.125)
La (0.875, 0.875, 0.875)
B (0.193, 0.557, 0.193)
B (0.443, 0.807, 0.443)
B (0.557, 0.193, 0.557)
B (0.807, 0.443, 0.807)
Os (0.239, 0.239, 0.511)
Os (0.489, 0.489, 0.761)
Os (0.511, 0.511, 0.239)
Os (0.761, 0.761, 0.489)

## Properties
ΔE_f = -0.454 eV per atom
electronic total energy = -86.0 eV for the cell shown

Record 7
VASP calculation (GGA-PBE) on an optimized crystal structure of NdHgAu2.

Cell: 5.054 5.054 5.054 Å, 60.00 60.00 60.00°
Sites, in units of the cell vectors:
Nd (0.000, 0.000, 0.000)
Hg (0.500, 0.500, 0.500)
Au (0.250, 0.250, 0.250)
Au (0.750, 0.750, 0.750)

## Properties
ΔE_f = -0.586 eV per atom
electronic total energy = -14.0 eV for the cell shown

Record 8
VASP calculation (GGA-PBE) on an optimized crystal structure of Mg2Ag.

Cell: 5.566 5.566 7.349 Å, 108.13 108.13 33.83°
Sites, in units of the cell vectors:
Mg (0.143, 0.143, 0.045)
Mg (0.164, 0.164, 0.607)
Mg (0.836, 0.836, 0.393)
Mg (0.857, 0.857, 0.955)
Ag (0.473, 0.473, 0.719)
Ag (0.527, 0.527, 0.281)

## Properties
ΔE_f = -0.151 eV per atom
electronic total energy = -13.0 eV for the cell shown
total moment = 0.00 Bohr magnetons per cell

Record 9
VASP calculation (GGA-PBE) on an optimized crystal structure of Te2MoWS2.

Cell: 3.359 3.359 38.341 Å, 90.00 90.00 120.00°
Sites, in units of the cell vectors:
Te (0.000, 0.000, 0.000)
Te (0.000, 0.000, 0.099)
Te (0.000, 0.000, 0.375)
Te (0.000, 0.000, 0.475)
Mo (0.000, 0.000, 0.237)
Mo (0.333, 0.667, 0.049)
W (0.000, 0.000, 0.861)
W (0.333, 0.667, 0.425)
S (0.333, 0.667, 0.198)
S (0.333, 0.667, 0.277)
S (0.333, 0.667, 0.822)
S (0.333, 0.667, 0.901)

## Properties
energy relative to the lowest polymorph listed for this composition = 0.83 kcal/mol of atoms
ΔE_f = -0.598 eV per atom
MP2020-corrected energy = -6.9917 eV per atom
electronic total energy = -81.9 eV for the cell shown
total moment = 0.00 Bohr magnetons per cell

Record 10
VASP calculation (GGA-PBE) on an optimized crystal structure of Cs2YAgF6.

Cell: 6.654 6.654 6.654 Å, 60.00 60.00 60.00°
Sites, in units of the cell vectors:
Cs (0.250, 0.250, 0.250)
Cs (0.750, 0.750, 0.750)
Y (0.000, 0.000, 0.000)
Ag (0.500, 0.500, 0.500)
F (0.233, 0.233, 0.767)
F (0.233, 0.767, 0.233)
F (0.233, 0.767, 0.767)
F (0.767, 0.233, 0.233)
F (0.767, 0.233, 0.767)
F (0.767, 0.767, 0.233)

## Properties
ΔE_f = -3.215 eV per atom
MP2020-corrected energy = -5.4729 eV per atom
electronic total energy = -52.0 eV for the cell shown
total moment = 0.00 Bohr magnetons per cell

Record 11
VASP calculation (GGA-PBE) on an optimized crystal structure of Mg3Sb.

Cell: 5.163 5.163 5.163 Å, 60.00 60.00 60.00°
Sites, in units of the cell vectors:
Mg (0.000, 0.000, 0.000)
Mg (0.250, 0.250, 0.250)
Mg (0.750, 0.750, 0.750)
Sb (0.500, 0.500, 0.500)

## Properties
energy relative to the lowest polymorph listed for this composition = 3.00 kcal/mol of atoms
ΔE_f = -0.087 eV per atom
MP2020-corrected energy = -2.3190 eV per atom
electronic total energy = -9.1 eV for the cell shown
total moment = 0.00 Bohr magnetons per cell

Record 12
VASP calculation (GGA-PBE) on an optimized crystal structure of Tb2Co7.

Cell: 12.361 12.361 12.361 Å, 23.17 23.17 23.17°
Sites, in units of the cell vectors:
Tb (0.052, 0.052, 0.052)
Tb (0.148, 0.148, 0.148)
Tb (0.852, 0.852, 0.852)
Tb (0.948, 0.948, 0.948)
Co (0.000, 0.500, 0.500)
Co (0.109, 0.609, 0.609)
Co (0.279, 0.279, 0.279)
Co (0.388, 0.388, 0.388)
Co (0.391, 0.391, 0.891)
Co (0.391, 0.891, 0.391)
Co (0.500, 0.000, 0.500)
Co (0.500, 0.500, 0.000)
Co (0.500, 0.500, 0.500)
Co (0.609, 0.109, 0.609)
Co (0.609, 0.609, 0.109)
Co (0.612, 0.612, 0.612)
Co (0.721, 0.721, 0.721)
Co (0.891, 0.391, 0.391)

## Properties
ΔE_f = -0.141 eV per atom
electronic total energy = -120.6 eV for the cell shown
total moment = 17.35 Bohr magnetons per cell

Record 13
VASP calculation (GGA-PBE) on an optimized crystal structure of LiAl4Tl4O12.

Cell: 5.406 7.633 5.522 Å, 90.00 94.36 90.00°
Sites, in units of the cell vectors:
Li (0.000, 0.000, 0.000)
Al (0.253, 0.264, 0.212)
Al (0.253, 0.736, 0.212)
Al (0.754, 0.261, 0.743)
Al (0.754, 0.739, 0.743)
Tl (0.263, 0.000, 0.665)
Tl (0.270, 0.500, 0.751)
Tl (0.704, 0.000, 0.309)
Tl (0.759, 0.500, 0.263)
O (0.060, 0.228, 0.917)
O (0.060, 0.772, 0.917)
O (0.172, 0.500, 0.207)
O (0.319, 0.000, 0.217)
O (0.470, 0.289, 0.509)
O (0.470, 0.711, 0.509)
O (0.549, 0.307, 0.008)
O (0.549, 0.693, 0.008)
O (0.704, 0.000, 0.747)
O (0.848, 0.500, 0.681)
O (0.965, 0.209, 0.407)
O (0.965, 0.791, 0.407)

## Properties
energy relative to the lowest polymorph listed for this composition = 0.69 kcal/mol of atoms
ΔE_f = -2.070 eV per atom
MP2020-corrected energy = -6.1521 eV per atom
electronic total energy = -120.9 eV for the cell shown
total moment = 0.00 Bohr magnetons per cell